No. 1
{"formula": "Fe5O8F2", "functional": "GGA+U", "state": "optimized geometry", "de_polymorph_mev_per_atom": 13, "delta_e_f_ev_per_atom": -1.570, "energy_corrected_mp2020_ev_per_cell": -218.61, "space_group": "P2_1/c (14)", "lattice": [[4.6415, 0.0000, 0.0000], [0.0000, 4.6383, 0.0000], [-4.5537, 0.0000, 15.1556]], "species": ["Fe", "Fe", "Fe", "Fe", "Fe", "Fe", "Fe", "Fe", "Fe", "Fe", "O", "O", "O", "O", "O", "O", "O", "O", "O", "O", "O", "O", "O", "O", "O", "O", "F", "F", "F", "F"], "fractional_positions": [[0.0000, 0.0000, 0.0000], [0.0000, 0.5000, 0.5000], [0.2097, 0.0110, 0.2052], [0.2097, 0.4890, 0.7052], [0.4241, 0.5206, 0.9009], [0.4241, 0.9794, 0.4009], [0.5759, 0.0206, 0.5991], [0.5759, 0.4794, 0.0991], [0.7903, 0.5110, 0.2948], [0.7903, 0.9890, 0.7948], [0.1149, 0.6955, 0.8019], [0.1149, 0.8045, 0.3019], [0.2763, 0.1832, 0.0998], [0.2763, 0.3168, 0.5998], [0.3062, 0.6943, 0.9999], [0.3062, 0.8057, 0.4999], [0.4915, 0.6937, 0.1956], [0.4915, 0.8063, 0.6956], [0.5085, 0.1937, 0.3044], [0.5085, 0.3063, 0.8044], [0.6938, 0.1943, 0.5001], [0.6938, 0.3057, 0.0001], [0.7237, 0.6832, 0.4002], [0.7237, 0.8168, 0.9002], [0.8851, 0.1955, 0.6981], [0.8851, 0.3045, 0.1981], [0.1060, 0.2021, 0.8989], [0.1060, 0.2979, 0.3989], [0.8940, 0.7021, 0.6011], [0.8940, 0.7979, 0.1011]]}

No. 2
{"formula": "Fe5O3F7", "functional": "GGA+U", "state": "optimized geometry", "de_polymorph_mev_per_atom": 10, "delta_e_f_ev_per_atom": -2.220, "energy_corrected_mp2020_ev_per_cell": -207.78, "space_group": "P-1 (2)", "lattice": [[4.7991, 0.0000, 0.0000], [0.1197, 4.8017, 0.0000], [0.0093, 0.1249, 15.5671]], "species": ["Fe", "Fe", "Fe", "Fe", "Fe", "Fe", "Fe", "Fe", "Fe", "Fe", "O", "O", "O", "O", "O", "O", "F", "F", "F", "F", "F", "F", "F", "F", "F", "F", "F", "F", "F", "F"], "fractional_positions": [[0.0000, 0.0000, 0.0000], [0.0060, 0.0038, 0.1998], [0.0266, 0.0376, 0.6031], [0.4623, 0.5372, 0.8989], [0.4779, 0.5393, 0.3075], [0.5000, 0.5000, 0.5000], [0.5221, 0.4607, 0.6925], [0.5377, 0.4628, 0.1011], [0.9734, 0.9624, 0.3969], [0.9940, 0.9962, 0.8002], [0.1687, 0.8285, 0.9001], [0.1876, 0.8073, 0.2913], [0.3332, 0.3232, 0.5943], [0.6668, 0.6768, 0.4057], [0.8124, 0.1927, 0.7087], [0.8313, 0.1715, 0.0999], [0.2058, 0.7948, 0.5017], [0.2153, 0.7871, 0.0988], [0.2157, 0.7881, 0.7080], [0.2932, 0.3024, 0.4006], [0.2948, 0.2939, 0.0001], [0.3014, 0.2995, 0.7952], [0.3043, 0.3031, 0.2058], [0.6957, 0.6969, 0.7942], [0.6986, 0.7005, 0.2048], [0.7052, 0.7061, 0.9999], [0.7068, 0.6976, 0.5994], [0.7843, 0.2119, 0.2920], [0.7847, 0.2129, 0.9012], [0.7942, 0.2052, 0.4983]]}

No. 3
{"formula": "Fe4OF7", "functional": "GGA+U", "state": "optimized geometry", "de_polymorph_mev_per_atom": 32, "delta_e_f_ev_per_atom": -2.387, "energy_corrected_mp2020_ev_per_cell": -161.74, "space_group": "Amm2 (38)", "lattice": [[6.8998, 0.0000, 0.0000], [0.0000, 3.1927, 6.8120], [0.0000, -3.1927, 6.8120]], "species": ["Fe", "Fe", "Fe", "Fe", "Fe", "Fe", "Fe", "Fe", "O", "O", "F", "F", "F", "F", "F", "F", "F", "F", "F", "F", "F", "F", "F", "F"], "fractional_positions": [[0.0000, 0.0000, 0.0000], [0.0000, 0.4979, 0.4979], [0.0000, 0.5109, 0.9680], [0.0000, 0.9680, 0.5109], [0.5000, 0.2502, 0.2502], [0.5000, 0.2600, 0.7203], [0.5000, 0.7203, 0.2600], [0.5000, 0.7488, 0.7488], [0.0000, 0.6452, 0.6452], [0.5000, 0.3967, 0.3967], [0.0000, 0.1494, 0.1494], [0.0000, 0.3402, 0.3402], [0.0000, 0.8500, 0.8500], [0.2067, 0.2399, 0.7502], [0.2067, 0.7502, 0.2399], [0.2936, 0.4984, 0.9920], [0.2936, 0.9920, 0.4984], [0.5000, 0.0910, 0.0910], [0.5000, 0.5997, 0.5997], [0.5000, 0.8984, 0.8984], [0.7064, 0.4984, 0.9920], [0.7064, 0.9920, 0.4984], [0.7933, 0.2399, 0.7502], [0.7933, 0.7502, 0.2399]]}

No. 4
{"formula": "Fe6OF11", "functional": "GGA+U", "state": "optimized geometry", "de_polymorph_mev_per_atom": 10, "delta_e_f_ev_per_atom": -2.473, "energy_corrected_mp2020_ev_per_cell": -121.34, "space_group": "Cm (8)", "lattice": [[4.7325, -3.4181, 0.0000], [4.7325, 3.4181, 0.0000], [-2.5637, 0.0000, 7.0558]], "species": ["Fe", "Fe", "Fe", "Fe", "Fe", "Fe", "O", "F", "F", "F", "F", "F", "F", "F", "F", "F", "F", "F"], "fractional_positions": [[0.0000, 0.0000, 0.0000], [0.0031, 0.0031, 0.4823], [0.3360, 0.3360, 0.8298], [0.3424, 0.3424, 0.3254], [0.6705, 0.6705, 0.6648], [0.6931, 0.6931, 0.1624], [0.8941, 0.8941, 0.1890], [0.0407, 0.6314, 0.8202], [0.1018, 0.1018, 0.7956], [0.2388, 0.2388, 0.5241], [0.3053, 0.7034, 0.5031], [0.3812, 0.9708, 0.1594], [0.4590, 0.4590, 0.1382], [0.5802, 0.5802, 0.8785], [0.6314, 0.0407, 0.8202], [0.7034, 0.3053, 0.5031], [0.7580, 0.7580, 0.4487], [0.9708, 0.3812, 0.1594]]}

No. 5
{"formula": "Fe2OF3", "functional": "GGA+U", "state": "optimized geometry", "de_polymorph_mev_per_atom": 33, "delta_e_f_ev_per_atom": -2.288, "energy_corrected_mp2020_ev_per_cell": -206.80, "space_group": "Amm2 (38)", "lattice": [[15.6131, 0.0000, 0.0000], [0.0000, 3.4779, 3.3670], [0.0000, -3.4779, 3.3670]], "species": ["Fe", "Fe", "Fe", "Fe", "Fe", "Fe", "Fe", "Fe", "Fe", "Fe", "O", "O", "O", "O", "O", "F", "F", "F", "F", "F", "F", "F", "F", "F", "F", "F", "F", "F", "F", "F"], "fractional_positions": [[0.0000, 0.0000, 0.0000], [0.1001, 0.4535, 0.4535], [0.1997, 0.9755, 0.9755], [0.2998, 0.4977, 0.4977], [0.3997, 0.9505, 0.9505], [0.5000, 0.4869, 0.4869], [0.6003, 0.9505, 0.9505], [0.7002, 0.4977, 0.4977], [0.8003, 0.9755, 0.9755], [0.8999, 0.4535, 0.4535], [0.1025, 0.1555, 0.1555], [0.2969, 0.7954, 0.7954], [0.5000, 0.7861, 0.7861], [0.7031, 0.7954, 0.7954], [0.8975, 0.1555, 0.1555], [0.0000, 0.2606, 0.6799], [0.0000, 0.6799, 0.2606], [0.0978, 0.7712, 0.7712], [0.1999, 0.2677, 0.6835], [0.1999, 0.6835, 0.2677], [0.3022, 0.1795, 0.1795], [0.3997, 0.2683, 0.6874], [0.3997, 0.6874, 0.2683], [0.5000, 0.1726, 0.1726], [0.6003, 0.2683, 0.6874], [0.6003, 0.6874, 0.2683], [0.6978, 0.1795, 0.1795], [0.8001, 0.2677, 0.6835], [0.8001, 0.6835, 0.2677], [0.9022, 0.7712, 0.7712]]}

No. 6
{"formula": "Fe6O7F5", "functional": "GGA+U", "state": "optimized geometry", "de_polymorph_mev_per_atom": 0, "delta_e_f_ev_per_atom": -1.915, "energy_corrected_mp2020_ev_per_cell": -129.50, "space_group": "C2 (5)", "lattice": [[4.6522, -3.2449, 0.0000], [4.6522, 3.2449, 0.0000], [-3.3785, 0.0000, 6.8938]], "species": ["Fe", "Fe", "Fe", "Fe", "Fe", "Fe", "O", "O", "O", "O", "O", "O", "O", "F", "F", "F", "F", "F"], "fractional_positions": [[0.0000, 0.0000, 0.0000], [0.2731, 0.3469, 0.8540], [0.3038, 0.3709, 0.3235], [0.6291, 0.6962, 0.6765], [0.6531, 0.7269, 0.1460], [0.9694, 0.0306, 0.5000], [0.0055, 0.6819, 0.3371], [0.2007, 0.2501, 0.0451], [0.2950, 0.7050, 0.0000], [0.3181, 0.9945, 0.6629], [0.6200, 0.0720, 0.3400], [0.7499, 0.7993, 0.9549], [0.9280, 0.3800, 0.6600], [0.0762, 0.1361, 0.2974], [0.3988, 0.4620, 0.6215], [0.5380, 0.6012, 0.3785], [0.6772, 0.3228, 0.0000], [0.8639, 0.9238, 0.7026]]}

Values of VASP energy, in order: -6.1072 -5.8211 -5.6604 -5.6685 -5.7959 -6.0467, all in eV/atom.